# 1
SmY3O6 after structural relaxation. Source: the Materials Project, functional PBE.

crystal system	triclinic
VASP energy	-8.91	eV/atom
formation energy	-379.93	kJ/mol of atoms

Structure (CIF):
```
data_SmY3O6
_symmetry_space_group_name_H-M 'P 1'
_symmetry_Int_Tables_number 1
_cell_length_a 9.328
_cell_length_b 9.340
_cell_length_c 9.340
_cell_angle_alpha 109.47
_cell_angle_beta 109.44
_cell_angle_gamma 109.46
loop_
_symmetry_equiv_pos_as_xyz
'x,y,z'
loop_
_atom_site_label
_atom_site_fract_x
_atom_site_fract_y
_atom_site_fract_z
Sm1 0.000 0.000 0.000
Sm2 0.000 0.498 0.499
Sm3 0.252 0.717 0.969
Sm4 0.500 0.998 0.502
Y1 0.030 0.748 0.282
Y2 0.219 0.969 0.750
Y3 0.251 0.217 0.469
Y4 0.282 0.530 0.250
Y5 0.469 0.251 0.219
Y6 0.501 0.497 0.000
Y7 0.533 0.746 0.782
Y8 0.717 0.466 0.751
Y9 0.749 0.280 0.031
Y10 0.750 0.779 0.531
Y11 0.782 0.029 0.250
Y12 0.969 0.247 0.717
O1 0.010 0.039 0.767
O2 0.029 0.485 0.255
O3 0.042 0.267 0.511
O4 0.230 0.451 0.969
O5 0.232 0.274 0.245
O6 0.245 0.973 0.012
O7 0.257 0.766 0.230
O8 0.268 0.011 0.542
O9 0.275 0.744 0.729
O10 0.457 0.466 0.730
O11 0.469 0.229 0.957
O12 0.489 0.754 0.530
O13 0.512 0.242 0.470
O14 0.536 0.767 0.042
O15 0.544 0.530 0.270
O16 0.725 0.254 0.267
O17 0.731 0.986 0.457
O18 0.744 0.230 0.775
O19 0.755 0.028 0.987
O20 0.769 0.724 0.757
O21 0.770 0.541 0.032
O22 0.958 0.729 0.488
O23 0.967 0.506 0.740
O24 0.989 0.957 0.231
```

---

# 2
SmY15O24 after structural relaxation. Source: the Materials Project, functional PBE.

crystal system	monoclinic
VASP energy	-9.06	eV/atom
formation energy	-382.32	kJ/mol of atoms

Structure (CIF):
```
data_SmY15O24
_symmetry_space_group_name_H-M 'C 1 2 1'
_symmetry_Int_Tables_number 5
_cell_length_a 15.157
_cell_length_b 10.731
_cell_length_c 10.727
_cell_angle_alpha 90.00
_cell_angle_beta 134.93
_cell_angle_gamma 90.00
loop_
_symmetry_equiv_pos_as_xyz
'x,y,z'
'-x,y,-z'
'x+1/2,y+1/2,z'
'-x+1/2,y+1/2,-z'
loop_
_atom_site_label
_atom_site_fract_x
_atom_site_fract_y
_atom_site_fract_z
Sm1 0.000 0.000 0.000
Y1 0.000 0.435 0.500
Y2 0.000 0.501 0.000
Y3 0.000 0.935 0.500
Y4 0.033 0.218 0.783
Y5 0.033 0.717 0.284
Y6 0.249 0.217 0.749
Y7 0.249 0.467 0.532
Y8 0.249 0.718 0.749
Y9 0.250 0.468 0.033
O1 0.109 0.088 0.707
O2 0.109 0.348 0.011
O3 0.109 0.588 0.511
O4 0.112 0.845 0.212
O5 0.119 0.316 0.479
O6 0.120 0.620 0.979
O7 0.120 0.816 0.761
O8 0.122 0.121 0.265
O9 0.152 0.359 0.782
O10 0.152 0.576 0.281
O11 0.152 0.859 0.522
O12 0.154 0.079 0.022
```

---

# 3
Sm2Zr8O19 after structural relaxation. Source: the Materials Project, functional PBE.

crystal system	orthorhombic
VASP energy	-9.18	eV/atom
formation energy	-357.54	kJ/mol of atoms
offset from the most stable computed form	11	meV per atom

Structure (CIF):
```
data_Sm2Zr8O19
_symmetry_space_group_name_H-M 'P m m 2'
_symmetry_Int_Tables_number 25
_cell_length_a 3.579
_cell_length_b 3.704
_cell_length_c 26.198
_cell_angle_alpha 90.00
_cell_angle_beta 90.00
_cell_angle_gamma 90.00
loop_
_symmetry_equiv_pos_as_xyz
'x,y,z'
'-x,-y,z'
'-x,y,z'
'x,-y,z'
loop_
_atom_site_label
_atom_site_fract_x
_atom_site_fract_y
_atom_site_fract_z
Sm1 0.000 0.000 0.000
Sm2 0.500 0.500 0.118
Zr1 0.000 0.000 0.218
Zr2 0.000 0.000 0.414
Zr3 0.000 0.000 0.609
Zr4 0.000 0.000 0.804
Zr5 0.500 0.500 0.316
Zr6 0.500 0.500 0.512
Zr7 0.500 0.500 0.707
Zr8 0.500 0.500 0.902
O1 0.000 0.500 0.052
O2 0.000 0.500 0.174
O3 0.000 0.500 0.270
O4 0.000 0.500 0.368
O5 0.000 0.500 0.463
O6 0.000 0.500 0.561
O7 0.000 0.500 0.655
O8 0.000 0.500 0.753
O9 0.000 0.500 0.848
O10 0.000 0.500 0.947
O11 0.500 0.000 0.159
O12 0.500 0.000 0.259
O13 0.500 0.000 0.358
O14 0.500 0.000 0.459
O15 0.500 0.000 0.556
O16 0.500 0.000 0.657
O17 0.500 0.000 0.754
O18 0.500 0.000 0.855
O19 0.500 0.000 0.951
```

---

# 4
Sm2Zr2O7 after structural relaxation. Source: the Materials Project, functional PBE.

crystal system	monoclinic
VASP energy	-8.89	eV/atom
formation energy	-363.09	kJ/mol of atoms

Structure (CIF):
```
data_Sm2Zr2O7
_symmetry_space_group_name_H-M 'P 1 21/c 1'
_symmetry_Int_Tables_number 14
_cell_length_a 7.524
_cell_length_b 7.086
_cell_length_c 12.262
_cell_angle_alpha 90.00
_cell_angle_beta 98.93
_cell_angle_gamma 90.00
loop_
_symmetry_equiv_pos_as_xyz
'x,y,z'
'-x,-y,-z'
'-x,y+1/2,-z+1/2'
'x,-y+1/2,z+1/2'
loop_
_atom_site_label
_atom_site_fract_x
_atom_site_fract_y
_atom_site_fract_z
Sm1 0.023 0.114 0.362
Sm2 0.250 0.174 0.115
Zr1 0.248 0.642 0.398
Zr2 0.444 0.608 0.112
O1 0.022 0.729 0.825
O2 0.125 0.100 0.931
O3 0.188 0.013 0.531
O4 0.305 0.107 0.300
O5 0.318 0.563 0.250
O6 0.323 0.632 0.576
O7 0.490 0.681 0.937
```